(1)
VASP calculation (meta-GGA r2SCAN) on an optimized crystal structure of TmLu3.

The space group is P6_3/mmc (No. 194) and the conventional cell measures 7.0653, 7.0653 and 5.4554 Å, with angles of 90.00, 90.00 and 120.00 degrees. The inequivalent atoms are Tm at (0.3333, 0.6667, 0.2500) and Lu at (0.1665, 0.3329, 0.7500).

The total magnetic moment comes out at 0.00 μB per cell. The value obtained for the energy of formation from the pure elements is 0 kJ/mol of formula units.

=====

(2)
VASP calculation (meta-GGA r2SCAN) on an optimized crystal structure of YLu3.

The space group is P6_3/mmc (No. 194) and the conventional cell measures 7.0419, 7.0419 and 5.6892 Å, with angles of 90.00, 90.00 and 120.00 degrees. The inequivalent atoms are Y at (0.3333, 0.6667, 0.2500) and Lu at (0.1648, 0.3296, 0.7500).

The total magnetic moment comes out at 4.89 μB per cell. The value obtained for the energy of formation from the pure elements is -6 kJ/mol of formula units.

=====

(3)
VASP calculation (meta-GGA r2SCAN) on an optimized crystal structure of Lu2Zn17.

The space group is R-3m (No. 166, hexagonal axes) and the conventional cell measures 8.8061, 8.8061 and 12.8971 Å, with angles of 90.00, 90.00 and 120.00 degrees. The inequivalent atoms are Lu at (0.0000, 0.0000, 0.1648), Zn at (0.0000, 0.0000, 0.3993), Zn at (0.0000, 0.2986, 0.5000), Zn at (0.0000, 0.5000, 0.0000) and Zn at (0.0093, 0.5047, 0.6523).

The total magnetic moment comes out at 0.00 μB per cell. The value obtained for the energy of formation from the pure elements is -432 kJ/mol of formula units.

=====

(4)
VASP calculation (meta-GGA r2SCAN) on an optimized crystal structure of LuZn5.

The space group is P6_3/mmc (No. 194) and the conventional cell measures 8.7128, 8.7128 and 8.8567 Å, with angles of 90.00, 90.00 and 120.00 degrees. The inequivalent atoms are Lu at (0.1918, 0.3835, 0.2500), Zn at (0.0000, 0.0000, 0.0000), Zn at (0.0000, 0.5000, 0.0000), Zn at (0.1350, 0.5675, 0.7500), Zn at (0.1600, 0.3199, 0.5932) and Zn at (0.3333, 0.6667, 0.0158).

The total magnetic moment comes out at 0.00 μB per cell. The value obtained for the energy of formation from the pure elements is -166 kJ/mol of formula units.